[1]
Material: Sb8Cl2O11
Method: DFT, meta-GGA r2SCAN
State: relaxed

Unit cell a=10.484 b=11.273 c=13.988 alpha=78.59 beta=76.25 gamma=72.99
Atoms (fractional coordinates):
O 0.924 0.533 0.312
O 0.781 0.730 0.429
O 0.826 0.869 0.016
O 0.076 0.467 0.688
O 0.795 0.718 0.209
O 0.241 0.012 0.809
O 0.708 0.001 0.400
O 0.183 0.092 0.457
O 0.219 0.270 0.571
O 0.743 0.728 0.666
O 0.775 0.462 0.679
O 0.759 0.988 0.191
O 0.174 0.131 0.984
O 0.983 0.264 0.357
O 0.789 0.176 0.298
O 0.755 0.230 0.940
O 0.785 0.427 0.036
O 0.973 0.527 0.089
O 0.989 0.245 0.140
O 0.216 0.540 0.531
O 0.993 0.000 0.622
O 0.772 0.200 0.727
O 0.093 0.730 0.432
O 0.225 0.538 0.321
O 0.205 0.282 0.791
O 0.102 0.973 0.162
O 0.898 0.027 0.838
O 0.693 0.259 0.150
O 0.784 0.460 0.469
O 0.257 0.272 0.334
O 0.017 0.736 0.643
O 0.307 0.741 0.850
O 0.907 0.270 0.568
O 0.228 0.800 0.273
O 0.181 0.454 0.168
O 0.245 0.770 0.060
O 0.007 0.000 0.378
O 0.817 0.908 0.543
O 0.215 0.573 0.964
O 0.027 0.473 0.911
O 0.011 0.755 0.860
O 0.211 0.824 0.702
O 0.292 0.999 0.600
O 0.819 0.546 0.832
Sb 0.296 0.634 0.391
Sb 0.842 0.583 0.969
Sb 0.191 0.659 0.798
Sb 0.664 0.598 0.756
Sb 0.809 0.341 0.202
Sb 0.839 0.854 0.685
Sb 0.278 0.380 0.637
Sb 0.341 0.141 0.492
Sb 0.694 0.132 0.865
Sb 0.704 0.366 0.609
Sb 0.025 0.853 0.311
Sb 0.635 0.115 0.272
Sb 0.687 0.873 0.139
Sb 0.722 0.620 0.363
Sb 0.178 0.905 0.558
Sb 0.995 0.896 0.932
Sb 0.336 0.402 0.244
Sb 0.161 0.146 0.315
Sb 0.005 0.104 0.068
Sb 0.313 0.127 0.861
Sb 0.007 0.623 0.186
Sb 0.822 0.095 0.442
Sb 0.371 0.649 0.975
Sb 0.365 0.885 0.728
Sb 0.659 0.859 0.508
Sb 0.629 0.351 0.025
Sb 0.014 0.613 0.559
Sb 0.993 0.377 0.814
Sb 0.975 0.147 0.689
Sb 0.306 0.868 0.135
Sb 0.158 0.417 0.031
Sb 0.986 0.387 0.441
Cl 0.516 0.105 0.648
Cl 0.497 0.358 0.832
Cl 0.532 0.821 0.913
Cl 0.503 0.629 0.596
Cl 0.468 0.179 0.087
Cl 0.484 0.895 0.352
Cl 0.497 0.371 0.404
Cl 0.503 0.642 0.168

Calculated values
Electronic total energy (eV per atom): -14.918

=====

[2]
Material: Ti5NiP6O24
Method: DFT, meta-GGA r2SCAN
State: relaxed

Unit cell a=8.248 b=8.248 c=8.248 alpha=63.60 beta=63.60 gamma=63.60
Atoms (fractional coordinates):
O 0.996 0.391 0.170
O 0.391 0.170 0.996
O 0.950 0.745 0.102
O 0.170 0.996 0.391
O 0.670 0.888 0.506
O 0.113 0.490 0.328
O 0.246 0.440 0.595
O 0.558 0.397 0.757
O 0.595 0.246 0.440
O 0.490 0.328 0.113
O 0.328 0.113 0.490
O 0.397 0.757 0.558
O 0.014 0.613 0.820
O 0.613 0.820 0.014
O 0.440 0.595 0.246
O 0.896 0.056 0.260
O 0.260 0.896 0.056
O 0.745 0.102 0.950
O 0.506 0.670 0.888
O 0.888 0.506 0.670
O 0.820 0.014 0.613
O 0.757 0.558 0.397
O 0.056 0.260 0.896
O 0.102 0.950 0.745
Ni 0.860 0.860 0.860
Ti 0.359 0.359 0.359
Ti 0.137 0.137 0.137
Ti 0.501 0.501 0.501
Ti 0.003 0.003 0.003
Ti 0.638 0.638 0.638
P 0.748 0.043 0.464
P 0.043 0.464 0.748
P 0.464 0.748 0.043
P 0.545 0.244 0.958
P 0.958 0.545 0.244
P 0.244 0.958 0.545

Calculated values
Electronic total energy (eV per atom): -10.255

=====

[3]
Material: K2YbF5
Method: DFT, meta-GGA r2SCAN
State: relaxed

Unit cell a=6.501 b=7.093 c=10.671 alpha=90.00 beta=90.00 gamma=90.00
Atoms (fractional coordinates):
F 0.156 0.250 0.190
F 0.656 0.750 0.310
F 0.851 0.036 0.072
F 0.891 0.750 0.513
F 0.851 0.464 0.072
F 0.623 0.250 0.333
F 0.351 0.964 0.428
F 0.149 0.964 0.928
F 0.649 0.464 0.572
F 0.844 0.750 0.810
F 0.149 0.536 0.928
F 0.123 0.750 0.167
F 0.609 0.750 0.013
F 0.877 0.250 0.833
F 0.344 0.250 0.690
F 0.391 0.250 0.987
F 0.377 0.750 0.667
F 0.109 0.250 0.487
F 0.351 0.536 0.428
F 0.649 0.036 0.572
K 0.539 0.496 0.830
K 0.039 0.996 0.670
K 0.961 0.496 0.330
K 0.461 0.504 0.170
K 0.039 0.504 0.670
K 0.961 0.004 0.330
K 0.461 0.996 0.170
K 0.539 0.004 0.830
Yb 0.936 0.750 0.003
Yb 0.064 0.250 0.997
Yb 0.564 0.750 0.503
Yb 0.436 0.250 0.497

Calculated values
Electronic total energy (eV per atom): -11.821

=====

[4]
Material: Nb8Pb6O25
Method: DFT, meta-GGA r2SCAN
State: relaxed

Unit cell a=7.566 b=7.566 c=10.582 alpha=89.92 beta=89.92 gamma=90.91
Atoms (fractional coordinates):
O 0.000 0.001 0.684
O 0.191 0.200 0.500
O 0.316 0.201 0.259
O 0.184 0.816 0.500
O 0.485 0.001 0.065
O 0.494 0.504 0.802
O 0.178 0.318 0.750
O 0.507 0.493 0.500
O 0.498 0.004 0.446
O 0.800 0.809 0.500
O 0.184 0.695 0.753
O 0.685 0.195 0.254
O 0.996 0.502 0.554
O 0.799 0.684 0.741
O 0.999 0.515 0.935
O 0.801 0.199 0.500
O 0.496 0.506 0.198
O 0.805 0.315 0.746
O 0.682 0.822 0.250
O 0.311 0.689 0.000
O 0.310 0.310 0.000
O 0.999 0.000 0.316
O 0.671 0.329 0.000
O 0.305 0.816 0.247
O 0.690 0.690 0.000
Pb 0.231 0.982 0.892
Pb 0.018 0.769 0.108
Pb 0.506 0.245 0.629
Pb 0.519 0.744 0.636
Pb 0.256 0.481 0.364
Pb 0.755 0.494 0.371
Nb 0.258 0.486 0.881
Nb 0.002 0.236 0.625
Nb 0.006 0.736 0.628
Nb 0.264 0.994 0.372
Nb 0.508 0.238 0.127
Nb 0.764 0.998 0.375
Nb 0.514 0.742 0.119
Nb 0.762 0.492 0.873

Calculated values
Electronic total energy (eV per atom): -19.920

=====

[5]
Material: Gd3SbO7
Method: DFT, meta-GGA r2SCAN
State: relaxed

Unit cell a=6.461 b=6.506 c=7.596 alpha=106.84 beta=89.85 gamma=97.98
Atoms (fractional coordinates):
O 0.452 0.638 0.656
O 0.714 0.063 0.484
O 0.075 0.318 0.047
O 0.288 0.935 0.954
O 0.093 0.064 0.267
O 0.560 0.355 0.834
O 0.548 0.362 0.344
O 0.072 0.326 0.610
O 0.712 0.065 0.046
O 0.907 0.936 0.733
O 0.440 0.645 0.166
O 0.928 0.674 0.390
O 0.286 0.937 0.516
O 0.925 0.682 0.953
Gd 0.540 0.996 0.748
Gd 0.741 0.476 0.616
Gd 0.460 0.004 0.252
Gd 0.737 0.466 0.117
Gd 0.259 0.524 0.384
Gd 0.263 0.534 0.883
Sb 0.000 0.000 0.500
Sb 0.000 0.000 0.000

Calculated values
Electronic total energy (eV per atom): -21.159
ΔE to the lowest computed polymorph (meV per atom): 7

=====

[6]
Material: DyAl7Au3
Method: DFT, meta-GGA r2SCAN
State: relaxed

Unit cell a=8.381 b=8.381 c=8.381 alpha=57.34 beta=57.34 gamma=57.34
Atoms (fractional coordinates):
Al 0.353 0.168 0.568
Al 0.832 0.432 0.647
Al 0.168 0.568 0.353
Al 0.568 0.353 0.168
Al 0.932 0.332 0.147
Al 0.647 0.832 0.432
Al 0.432 0.647 0.832
Al 0.668 0.853 0.068
Al 0.147 0.932 0.332
Al 0.750 0.750 0.750
Al 0.332 0.147 0.932
Al 0.250 0.250 0.250
Al 0.853 0.068 0.668
Al 0.068 0.668 0.853
Au 0.574 0.250 0.926
Au 0.074 0.426 0.750
Au 0.250 0.926 0.574
Au 0.926 0.574 0.250
Au 0.750 0.074 0.426
Au 0.426 0.750 0.074
Dy 0.500 0.500 0.500
Dy 0.000 0.000 0.000

Calculated values
Electronic total energy (eV per atom): -21.561

=====

[7]
Material: Tm2CdOs
Method: DFT, meta-GGA r2SCAN
State: relaxed

Unit cell a=4.918 b=4.918 c=4.918 alpha=60.00 beta=60.00 gamma=60.00
Atoms (fractional coordinates):
Tm 0.500 0.500 0.500
Tm 0.000 0.000 0.000
Os 0.750 0.750 0.750
Cd 0.250 0.250 0.250

Calculated values
Electronic total energy (eV per atom): -36.187

=====

[8]
Material: LuGaNi2
Method: DFT, meta-GGA r2SCAN
State: relaxed

Unit cell a=5.085 b=5.085 c=15.612 alpha=90.00 beta=90.00 gamma=120.00
Atoms (fractional coordinates):
Ni 0.662 0.831 0.126
Ni 0.169 0.338 0.126
Ni 0.662 0.831 0.374
Ni 0.831 0.169 0.626
Ni 0.169 0.831 0.126
Ni 0.831 0.662 0.874
Ni 0.831 0.169 0.874
Ni 0.831 0.662 0.626
Ni 0.169 0.831 0.374
Ni 0.338 0.169 0.626
Ni 0.169 0.338 0.374
Ni 0.338 0.169 0.874
Ga 0.667 0.333 0.750
Ga 0.000 0.000 0.750
Ga 0.000 0.000 0.000
Ga 0.000 0.000 0.500
Ga 0.333 0.667 0.250
Ga 0.000 0.000 0.250
Lu 0.333 0.667 0.543
Lu 0.333 0.667 0.957
Lu 0.667 0.333 0.457
Lu 0.667 0.333 0.043
Lu 0.333 0.667 0.750
Lu 0.667 0.333 0.250

Calculated values
Electronic total energy (eV per atom): -18.990

=====

[9]
Material: Cu2SeO4
Method: DFT, meta-GGA r2SCAN
State: relaxed

Unit cell a=5.937 b=6.994 c=10.746 alpha=51.83 beta=90.00 gamma=90.00
Atoms (fractional coordinates):
Cu 0.204 0.508 0.741
Cu 0.796 0.492 0.259
Cu 0.296 0.508 0.241
Cu 0.500 0.000 0.500
Cu 0.704 0.492 0.759
Cu 0.000 0.000 0.000
Cu 0.500 0.500 0.500
Cu 0.000 0.500 0.000
O 0.938 0.587 0.601
O 0.469 0.654 0.599
O 0.969 0.346 0.901
O 0.287 0.952 0.099
O 0.715 0.738 0.342
O 0.785 0.738 0.842
O 0.531 0.346 0.401
O 0.215 0.262 0.158
O 0.713 0.048 0.901
O 0.062 0.413 0.399
O 0.031 0.654 0.099
O 0.787 0.048 0.401
O 0.213 0.952 0.599
O 0.438 0.413 0.899
O 0.562 0.587 0.101
O 0.285 0.262 0.658
Se 0.075 0.166 0.599
Se 0.575 0.834 0.901
Se 0.425 0.166 0.099
Se 0.925 0.834 0.401

Calculated values
Electronic total energy (eV per atom): -9.362

=====

[10]
Material: Dy2CoSi2
Method: DFT, meta-GGA r2SCAN
State: relaxed

Unit cell a=4.149 b=5.567 c=8.977 alpha=83.46 beta=76.64 gamma=68.12
Atoms (fractional coordinates):
Dy 0.188 0.727 0.896
Dy 0.999 0.674 0.328
Dy 0.001 0.326 0.672
Dy 0.812 0.273 0.104
Co 0.272 0.082 0.374
Co 0.728 0.918 0.626
Si 0.502 0.870 0.125
Si 0.498 0.130 0.875
Si 0.347 0.740 0.565
Si 0.653 0.260 0.435

Calculated values
Electronic total energy (eV per atom): -19.725

=====

[11]
Material: VF5
Method: DFT, meta-GGA r2SCAN
State: relaxed

Unit cell a=8.984 b=7.617 c=10.211 alpha=90.00 beta=92.10 gamma=90.00
Atoms (fractional coordinates):
F 0.821 0.925 0.159
F 0.671 0.814 0.706
F 0.321 0.575 0.659
F 0.428 0.294 0.858
F 0.171 0.686 0.206
F 0.157 0.387 0.434
F 0.039 0.825 0.019
F 0.961 0.175 0.981
F 0.470 0.726 0.847
F 0.336 0.549 0.049
F 0.591 0.490 0.716
F 0.164 0.049 0.451
F 0.657 0.113 0.934
F 0.970 0.774 0.347
F 0.843 0.613 0.566
F 0.530 0.274 0.153
F 0.664 0.451 0.951
F 0.108 0.405 0.855
F 0.909 0.990 0.784
F 0.611 0.170 0.691
F 0.030 0.226 0.653
F 0.889 0.670 0.809
F 0.608 0.095 0.355
F 0.836 0.951 0.549
F 0.111 0.330 0.191
F 0.539 0.675 0.519
F 0.179 0.075 0.841
F 0.091 0.010 0.216
F 0.892 0.595 0.145
F 0.392 0.905 0.645
F 0.329 0.186 0.294
F 0.572 0.706 0.142
F 0.343 0.887 0.066
F 0.829 0.314 0.794
F 0.409 0.510 0.284
F 0.679 0.425 0.341
F 0.928 0.206 0.358
F 0.461 0.325 0.481
F 0.072 0.794 0.642
F 0.389 0.830 0.309
V 0.976 0.793 0.177
V 0.116 0.209 0.336
V 0.384 0.709 0.164
V 0.476 0.707 0.677
V 0.616 0.291 0.836
V 0.524 0.293 0.323
V 0.884 0.791 0.664
V 0.024 0.207 0.823

Calculated values
Electronic total energy (eV per atom): -7.787